Compound: InBi3Se6
Source: the Materials Project database
Functional: PBE
Structure: relaxed

Computed properties:
* calculated formation energy: -6.85 eV per formula unit
* total magnetization: 0.00 μB/f.u.
* electronic total energy: -39.41 eV/cell

Geometry as extended XYZ:
```
10
Lattice="2.0783 1.1999 19.5289 -2.0783 1.1999 19.5289 0.0000 -2.3998 19.5289" Properties=species:S:1:pos:R:3 pbc="T T T"
In 0.0000 0.0000 0.0000
Bi 0.0000 0.0000 5.8344
Bi 0.0000 0.0000 29.2946
Bi 0.0000 0.0000 35.2552
Se 0.0000 0.0000 11.3645
Se 0.0000 0.0000 17.7127
Se 0.0000 0.0000 23.7754
Se 0.0000 0.0000 40.3535
Se 0.0000 0.0000 46.8698
Se 0.0000 0.0000 53.1973
```